A relaxed Li5Mn4P8O28 crystal, computed with PBE with a Hubbard U.

Unit cell a=9.7949 b=9.8500 c=11.2317 alpha=102.66 beta=90.15 gamma=90.66
Sites, in units of the cell vectors:
Li 0.0000 0.0000 0.0000
Li 0.0012 0.9661 0.4934
Li 0.1588 0.3014 0.5764
Li 0.1997 0.7295 0.0781
Li 0.3132 0.0260 0.5934
Li 0.4861 0.2283 0.0642
Li 0.5067 0.7835 0.0920
Li 0.6332 0.5482 0.5502
Li 0.6981 0.0531 0.0131
Li 0.9841 0.5529 0.0198
Mn 0.0178 0.8469 0.7171
Mn 0.1742 0.4516 0.3761
Mn 0.3129 0.8911 0.8727
Mn 0.3843 0.3955 0.8662
Mn 0.5256 0.9488 0.3792
Mn 0.6717 0.3425 0.7155
Mn 0.8114 0.8807 0.2172
Mn 0.8858 0.3871 0.2252
P 0.0219 0.7105 0.2863
P 0.0426 0.1252 0.2936
P 0.1441 0.1680 0.8007
P 0.1642 0.5787 0.8048
P 0.2484 0.7717 0.4616
P 0.3055 0.0262 0.1676
P 0.3860 0.5196 0.1597
P 0.4491 0.2722 0.4800
P 0.5169 0.0754 0.7985
P 0.5454 0.6587 0.7988
P 0.6541 0.6102 0.2861
P 0.6617 0.2041 0.2854
P 0.7382 0.0218 0.6167
P 0.8026 0.7583 0.9338
P 0.8845 0.2647 0.9304
P 0.9482 0.5250 0.6172
O 0.0047 0.2511 0.8291
O 0.0069 0.5638 0.3127
O 0.0103 0.1244 0.4234
O 0.0202 0.7134 0.1521
O 0.0212 0.5148 0.7448
O 0.0403 0.4377 0.5178
O 0.0530 0.2780 0.2677
O 0.1216 0.0193 0.8300
O 0.1550 0.5822 0.9395
O 0.1619 0.8665 0.5600
O 0.1715 0.7683 0.3333
O 0.1730 0.1607 0.6675
O 0.1806 0.7240 0.7739
O 0.1919 0.0564 0.2742
O 0.2415 0.9187 0.0579
O 0.2520 0.2496 0.8896
O 0.2585 0.6208 0.4743
O 0.2663 0.4601 0.2217
O 0.2744 0.4723 0.7462
O 0.3090 0.3324 0.4658
O 0.3418 0.1608 0.1370
O 0.3639 0.6601 0.1311
O 0.3869 0.8404 0.4506
O 0.3989 0.9835 0.7362
O 0.4213 0.9502 0.2241
O 0.4342 0.4125 0.0447
O 0.4366 0.1219 0.4954
O 0.4535 0.7385 0.9010
O 0.5074 0.5335 0.2584
O 0.5084 0.2254 0.7778
O 0.5136 0.6590 0.6696
O 0.5238 0.2668 0.3500
O 0.5265 0.0674 0.9315
O 0.5417 0.3643 0.5767
O 0.5575 0.5038 0.8239
O 0.6417 0.7529 0.2464
O 0.6490 0.1980 0.1508
O 0.6577 0.0103 0.7387
O 0.6616 0.9345 0.5059
O 0.6757 0.0554 0.3140
O 0.6850 0.6181 0.4165
O 0.6943 0.7322 0.8229
O 0.7346 0.8656 0.0418
O 0.7464 0.1774 0.6137
O 0.7537 0.5181 0.1949
O 0.7669 0.3246 0.8687
O 0.7808 0.3019 0.3402
O 0.8049 0.4678 0.6260
O 0.8286 0.6227 0.9661
O 0.8613 0.1230 0.9575
O 0.8805 0.9651 0.6319
O 0.9197 0.8172 0.3540
O 0.9238 0.8323 0.8855
O 0.9397 0.3686 0.0455
O 0.9444 0.6802 0.6119
O 0.9502 0.0379 0.1926

The energy above the most stable polymorph in this dataset is 5 meV/atom. For the energy relative to the elements, the calculation gives -2.5519 eV per atom. The uncorrected energy is -7.044 eV per atom. As for the space group: P1 (1). Its total magnetization is 16.999 μB per formula unit. As for the corrected total energy (MP2020 scheme): -7.62 eV/atom.